# 1
Computed, not measured: a relaxed structure of Ga3B at the PBE-GGA level of DFT.

Calculated values
For the formation energy, the calculation gives 0.734 eV per atom. The value obtained for the final energy is -12.83 eV/cell. The calculation puts the polymorph energy (0 for the lowest one) at 21.4 kJ/mol of atoms. As for the volume: 15.52 Å³ per atom.

```
Ga3B
1.0
3.960 0.000 0.000
0.000 3.960 0.000
0.000 0.000 3.960
Ga B
3 1
Cartesian
1.980 1.980 0.000
0.000 1.980 1.980
1.980 0.000 1.980
0.000 0.000 0.000
```



# 2
Computed, not measured: a relaxed structure of AlBiSe4 at the PBE-GGA level of DFT.

Calculated values
The corrected total energy (MP2020 scheme) comes out at -4.18 eV per atom. For the formation energy, the calculation gives -0.573 eV per atom. The value obtained for the final energy is -92.69 eV/cell. As for the volume: 27.62 Å³ per atom.

```
AlBiSe4
1.0
-4.340 -5.370 2.516
3.654 0.034 6.376
-7.803 8.381 4.427
Se Bi Al
16 4 4
Cartesian
-4.686 -1.042 5.147
-8.581 3.202 7.272
-2.658 4.060 8.063
-1.436 -0.118 3.280
-5.633 1.777 9.317
-1.811 -2.467 7.065
-1.241 1.335 6.718
-5.150 5.472 9.021
-7.395 0.665 6.143
-3.505 -0.782 8.911
-5.417 4.018 5.455
1.216 -0.343 6.204
-7.725 3.193 10.971
-3.466 -3.313 3.575
-7.002 6.552 5.887
-3.419 2.146 3.520
-9.605 5.301 5.476
-6.439 1.901 3.680
-1.707 3.812 5.193
1.459 0.412 3.397
-6.195 3.618 7.766
0.000 0.000 0.000
-3.901 4.190 2.214
-2.294 -0.573 5.552
```



# 3
Computed, not measured: a relaxed structure of PrAl4 at the PBE-GGA level of DFT.

Calculated values
For the formation energy, the calculation gives -0.310 eV per atom. The value obtained for the final energy is -63.94 eV/cell. The calculation puts the polymorph energy (0 for the lowest one) at 0.5 kJ/mol of atoms. As for the volume: 20.91 Å³ per atom.

```
PrAl4
1.0
8.399 2.107 1.688
-1.809 8.612 0.619
-0.166 -8.220 3.199
Al Pr
12 3
Cartesian
1.090 -1.346 3.142
1.002 1.287 2.826
5.353 3.831 2.375
3.114 0.243 1.586
3.211 -2.384 1.906
7.289 -2.764 4.054
7.233 -0.133 3.755
-0.815 2.703 1.741
3.244 2.212 3.891
5.055 -3.754 3.001
-0.852 5.346 1.450
5.360 1.191 2.650
4.400 7.139 1.543
8.200 -6.089 4.868
2.205 3.568 0.774
```



# 4
Computed, not measured: a relaxed structure of Rb3B12H12I at the PBE-GGA level of DFT.

Calculated values
The corrected total energy (MP2020 scheme) comes out at -4.94 eV per atom. For the formation energy, the calculation gives -0.468 eV per atom. The value obtained for the final energy is -138.05 eV/cell. As for the volume: 13.36 Å³ per atom.

```
Rb3B12H12I
1.0
4.966 -5.237 0.000
4.966 5.237 0.000
-0.557 0.000 7.195
B H Rb I
12 12 3 1
Cartesian
7.992 0.890 6.782
4.712 3.796 0.854
1.381 -0.890 0.413
1.381 0.890 0.413
8.666 0.000 1.126
8.931 0.000 5.560
0.443 0.000 1.635
4.712 -3.796 0.854
7.992 -0.890 6.782
4.662 -3.796 6.341
0.708 0.000 6.069
4.662 3.796 6.341
7.758 0.000 1.923
1.616 0.000 5.272
7.013 -1.524 6.492
8.620 0.000 4.398
2.361 -1.524 0.703
4.537 -2.770 1.466
4.837 -2.770 5.729
0.753 0.000 2.797
7.013 1.524 6.492
4.837 2.770 5.729
4.537 2.770 1.466
2.361 1.524 0.703
2.204 2.618 3.598
4.966 0.000 0.000
2.204 -2.618 3.598
4.687 0.000 3.598
```



# 5
Computed, not measured: a relaxed structure of Ag3RuO4 at the PBE-GGA level of DFT.

Calculated values
The corrected total energy (MP2020 scheme) comes out at -5.41 eV per atom. For the formation energy, the calculation gives -0.714 eV per atom. The value obtained for the final energy is -162.10 eV/cell. The calculation puts the polymorph energy (0 for the lowest one) at 0.0 kJ/mol of atoms. As for the volume: 14.03 Å³ per atom.

```
Ag3RuO4
1.0
-2.869 -5.008 4.476
5.960 0.345 4.206
-3.567 6.113 4.553
Ru O Ag
4 16 12
Cartesian
0.256 -2.406 3.431
1.052 0.800 7.528
0.034 -1.887 6.448
-0.508 3.337 6.787
0.118 2.311 8.416
-1.060 4.137 5.089
0.360 1.785 5.901
0.839 -3.204 5.197
-2.278 2.366 6.942
1.582 -0.014 9.226
-0.483 -1.049 4.679
-0.631 -0.324 7.478
2.762 1.743 7.410
-4.933 2.613 7.990
-0.362 -1.442 1.844
-1.518 4.642 7.894
1.694 -0.729 6.432
-1.684 -2.818 6.544
0.673 -2.837 8.033
1.122 4.419 6.803
3.330 -2.228 5.600
-1.988 0.754 9.096
-3.204 3.661 4.241
-2.022 0.622 5.359
1.513 0.696 4.139
-1.619 0.258 2.274
-4.816 0.847 6.755
-0.271 3.144 3.344
-3.231 -2.555 4.788
1.100 0.064 0.776
4.448 0.257 3.139
3.077 3.338 5.707
```



# 6
Computed, not measured: a relaxed structure of LiTiH6O2F6 at the PBE-GGA level of DFT.

Calculated values
The corrected total energy (MP2020 scheme) comes out at -5.42 eV per atom. For the formation energy, the calculation gives -2.203 eV per atom. The value obtained for the final energy is -82.64 eV/cell. The calculation puts the polymorph energy (0 for the lowest one) at 0.4 kJ/mol of atoms. As for the volume: 10.40 Å³ per atom.

```
LiTiH6O2F6
1.0
0.000 0.000 -5.978
-2.835 -4.911 0.000
-2.835 4.911 0.000
F H O Ti Li
6 6 2 1 1
Cartesian
-4.130 -0.410 -1.293
-1.125 -1.129 -1.293
-3.394 3.434 -4.800
-3.250 -3.372 -1.293
-4.112 0.254 -4.800
-0.999 1.222 -4.800
-3.280 -2.526 -4.303
-1.853 1.554 -1.633
-3.383 -0.807 -4.303
-3.398 0.827 -1.633
-1.842 -1.577 -4.303
-3.255 2.529 -1.633
-2.835 -1.637 -3.933
-2.835 1.637 -1.925
0.000 0.000 -5.955
-2.835 -1.637 -1.854
```



# 7
Computed, not measured: a relaxed structure of Cu2Bi4Pb2S9 at the PBE-GGA level of DFT.

Calculated values
The corrected total energy (MP2020 scheme) comes out at -4.64 eV per atom. For the formation energy, the calculation gives -0.615 eV per atom. The value obtained for the final energy is -297.38 eV/cell. As for the volume: 23.67 Å³ per atom.

```
Cu2Bi4Pb2S9
1.0
-1.012 -1.862 -3.441
5.335 -9.880 3.778
-28.809 -10.205 13.992
S Bi Pb Cu
36 16 8 8
Cartesian
-13.008 -5.517 5.623
-15.228 -16.141 12.025
-9.257 -5.806 2.304
-18.780 -9.287 6.987
-12.027 -9.131 7.291
-21.757 -12.569 12.011
-5.706 -12.660 7.342
-13.742 -13.651 10.241
-11.478 -16.429 8.706
-6.588 -8.805 3.142
3.859 -9.388 2.760
-21.918 -16.283 11.695
-25.023 -11.763 12.535
1.249 -6.352 1.884
-28.345 -12.558 11.569
-5.792 -4.913 3.175
-1.184 -4.837 -0.594
-25.734 -15.595 12.445
0.537 -10.184 1.794
-2.568 -5.664 2.633
-12.459 -12.816 7.038
-20.913 -19.743 13.272
-22.664 -8.945 10.317
-17.898 -13.141 11.187
-23.301 -17.110 14.923
-2.729 -9.378 2.318
-16.325 -12.233 7.860
-8.160 -9.714 6.469
-18.693 -17.034 11.154
-4.197 -10.233 5.585
-20.288 -11.714 8.744
-1.822 -13.002 4.012
-10.744 -8.295 4.088
-15.398 -8.426 7.900
-9.088 -13.521 6.429
-3.573 -2.204 1.056
-6.512 -11.124 4.375
-17.974 -10.822 9.954
-10.745 -10.648 5.361
-3.963 -7.856 4.230
-17.645 -6.866 7.716
-5.106 -4.742 0.508
-8.106 -3.439 3.058
-6.840 -15.081 6.613
-23.189 -14.714 13.593
-19.379 -17.205 13.821
-1.296 -7.232 0.735
2.670 -11.780 2.030
-16.380 -18.507 11.271
-20.523 -14.090 10.099
-13.740 -11.299 8.967
-27.156 -10.167 12.298
-0.618 -10.317 4.578
-25.924 -18.191 13.906
-8.146 -7.099 5.050
-23.868 -11.630 9.751
-14.330 -8.200 5.090
-10.156 -13.747 9.239
-16.339 -14.848 9.279
1.439 -3.755 0.423
-7.970 -11.794 7.539
-16.516 -10.153 6.790
-26.179 -13.551 11.470
1.694 -8.396 2.859
-11.457 -7.170 6.061
-22.669 -18.217 12.963
-13.029 -14.777 8.267
-1.817 -3.729 1.366
```



# 8
Computed, not measured: a relaxed structure of Pr4Bi3 at the PBE-GGA level of DFT.

Calculated values
For the formation energy, the calculation gives -0.842 eV per atom. The value obtained for the final energy is -73.37 eV/cell. As for the volume: 33.36 Å³ per atom.

```
Pr4Bi3
1.0
-4.888 4.888 4.888
4.888 -4.888 4.888
4.888 4.888 -4.888
Bi Pr
6 8
Cartesian
-2.444 3.666 4.888
4.888 2.444 1.222
3.666 4.888 -2.444
1.222 4.888 2.444
4.888 -2.444 3.666
2.444 1.222 4.888
5.582 -0.694 0.694
0.694 5.582 -0.694
3.138 1.750 -1.750
1.750 -1.750 3.138
-1.750 3.138 1.750
1.750 1.750 1.750
-0.694 0.694 5.582
4.193 4.193 4.193
```